Entry 1:
Material: NdZr3F15
Method: DFT, meta-GGA r2SCAN
State: optimized geometry

Cell: 7.399 7.399 7.399 Å, 112.62 112.62 112.62°
Fractional positions:
Nd: 0.000 0.000 0.000
Zr: 0.208 0.638 0.638
Zr: 0.638 0.208 0.638
Zr: 0.638 0.638 0.208
F: 0.133 0.355 0.355
F: 0.236 0.897 0.897
F: 0.350 0.564 0.894
F: 0.350 0.894 0.564
F: 0.355 0.133 0.355
F: 0.355 0.355 0.133
F: 0.564 0.350 0.894
F: 0.564 0.894 0.350
F: 0.578 0.814 0.814
F: 0.814 0.578 0.814
F: 0.814 0.814 0.578
F: 0.894 0.350 0.564
F: 0.894 0.564 0.350
F: 0.897 0.236 0.897
F: 0.897 0.897 0.236

Calculated values
Symmetry = R3m (160)
Uncorrected energy = -11.71 eV per atom



Entry 2:
Material: Ce2CuSi3
Method: DFT, meta-GGA r2SCAN
State: optimized geometry

Cell: 4.084 4.084 8.063 Å, 90.00 90.00 120.00°
Fractional positions:
Ce: 0.000 0.000 0.248
Ce: 0.000 0.000 0.752
Cu: 0.333 0.667 0.500
Si: 0.333 0.667 0.000
Si: 0.667 0.333 0.000
Si: 0.667 0.333 0.500

Calculated values
Symmetry = P-6m2 (187)
Uncorrected energy = -17.15 eV per atom



Entry 3:
Material: Cs4Zr3S14
Method: DFT, meta-GGA r2SCAN
State: optimized geometry

Cell: 11.928 11.928 14.141 Å, 110.87 110.87 42.24°
Fractional positions:
Cs: 0.112 0.479 0.390
Cs: 0.177 0.699 0.857
Cs: 0.301 0.823 0.643
Cs: 0.479 0.112 0.890
Cs: 0.521 0.888 0.110
Cs: 0.699 0.177 0.357
Cs: 0.823 0.301 0.143
Cs: 0.888 0.521 0.610
Zr: 0.084 0.581 0.086
Zr: 0.263 0.737 0.250
Zr: 0.419 0.916 0.414
Zr: 0.581 0.084 0.586
Zr: 0.737 0.263 0.750
Zr: 0.916 0.419 0.914
S: 0.013 0.848 0.087
S: 0.063 0.496 0.901
S: 0.071 0.737 0.291
S: 0.099 0.187 0.392
S: 0.152 0.987 0.413
S: 0.187 0.099 0.892
S: 0.263 0.929 0.209
S: 0.299 0.616 0.388
S: 0.315 0.349 0.664
S: 0.349 0.315 0.164
S: 0.384 0.701 0.112
S: 0.395 0.434 0.131
S: 0.434 0.395 0.631
S: 0.496 0.063 0.401
S: 0.504 0.937 0.599
S: 0.566 0.605 0.369
S: 0.605 0.566 0.869
S: 0.616 0.299 0.888
S: 0.651 0.685 0.836
S: 0.685 0.651 0.336
S: 0.701 0.384 0.612
S: 0.737 0.071 0.791
S: 0.813 0.901 0.108
S: 0.848 0.013 0.587
S: 0.901 0.813 0.608
S: 0.929 0.263 0.709
S: 0.937 0.504 0.099
S: 0.987 0.152 0.913

Calculated values
Symmetry = C2/c (15)
Uncorrected energy = -14.71 eV per atom



Entry 4:
Material: Tb4C5
Method: DFT, meta-GGA r2SCAN
State: optimized geometry

Cell: 6.608 12.010 3.680 Å, 90.00 90.00 90.00°
Fractional positions:
Tb: 0.108 0.196 0.000
Tb: 0.244 0.958 0.500
Tb: 0.256 0.458 0.500
Tb: 0.392 0.696 0.000
Tb: 0.608 0.304 0.000
Tb: 0.744 0.542 0.500
Tb: 0.756 0.042 0.500
Tb: 0.892 0.804 0.000
C: 0.000 0.000 0.000
C: 0.098 0.657 0.500
C: 0.138 0.765 0.500
C: 0.362 0.265 0.500
C: 0.402 0.157 0.500
C: 0.500 0.500 0.000
C: 0.598 0.843 0.500
C: 0.638 0.735 0.500
C: 0.862 0.235 0.500
C: 0.902 0.343 0.500

Calculated values
Symmetry = Pbam (55)
Uncorrected energy = -19.88 eV per atom



Entry 5:
Material: ZrU3Sb5
Method: DFT, meta-GGA r2SCAN
State: optimized geometry

Cell: 9.343 9.343 6.275 Å, 90.00 90.00 120.00°
Fractional positions:
Zr: 0.000 0.000 0.000
Zr: 0.000 0.000 0.500
U: 0.000 0.386 0.246
U: 0.000 0.614 0.754
U: 0.386 0.000 0.246
U: 0.386 0.386 0.754
U: 0.614 0.000 0.754
U: 0.614 0.614 0.246
Sb: 0.000 0.268 0.750
Sb: 0.000 0.732 0.250
Sb: 0.268 0.000 0.750
Sb: 0.268 0.268 0.250
Sb: 0.333 0.667 0.000
Sb: 0.333 0.667 0.500
Sb: 0.667 0.333 0.000
Sb: 0.667 0.333 0.500
Sb: 0.732 0.000 0.250
Sb: 0.732 0.732 0.750

Calculated values
Symmetry = P-31m (162)
Uncorrected energy = -44.20 eV per atom



Entry 6:
Material: MgCd5
Method: DFT, meta-GGA r2SCAN
State: optimized geometry

Cell: 3.124 3.124 15.183 Å, 90.00 90.00 120.00°
Fractional positions:
Mg: 0.000 0.000 0.000
Cd: 0.000 0.000 0.332
Cd: 0.000 0.000 0.668
Cd: 0.667 0.333 0.165
Cd: 0.667 0.333 0.500
Cd: 0.667 0.333 0.835

Calculated values
Symmetry = P-6m2 (187)
Uncorrected energy = -17.45 eV per atom



Entry 7:
Material: SeBr
Method: DFT, meta-GGA r2SCAN
State: optimized geometry

Cell: 14.771 4.291 4.291 Å, 104.54 90.00 90.00°
Fractional positions:
Se: 0.050 0.125 0.875
Se: 0.450 0.625 0.375
Se: 0.550 0.375 0.625
Se: 0.950 0.875 0.125
Br: 0.165 0.370 0.253
Br: 0.335 0.870 0.753
Br: 0.665 0.753 0.870
Br: 0.835 0.253 0.370

Calculated values
Symmetry = Aea2 (41)
Uncorrected energy = -13.89 eV per atom



Entry 8:
Material: Te3MoWS
Method: DFT, meta-GGA r2SCAN
State: optimized geometry

Cell: 3.459 3.459 37.261 Å, 90.00 90.00 120.00°
Fractional positions:
Te: 0.000 0.000 0.000
Te: 0.000 0.000 0.098
Te: 0.000 0.000 0.632
Te: 0.000 0.000 0.730
Te: 0.667 0.333 0.197
Te: 0.667 0.333 0.296
Mo: 0.000 0.000 0.867
Mo: 0.667 0.333 0.049
W: 0.000 0.000 0.246
W: 0.667 0.333 0.681
S: 0.667 0.333 0.827
S: 0.667 0.333 0.906

Calculated values
Symmetry = P3m1 (156)
Uncorrected energy = -27.24 eV per atom



Question: Which value of uncorrected energy does entry 6 give?
Answer: -17.45 eV per atom



Question: Which of these has the lowest uncorrected energy?
Answer: ZrU3Sb5



Question: Look up the uncorrected energy of the first one.
Answer: -11.71 eV per atom